Entry 1:
# ErAl9Fe4Si6

A geometry-optimized ErAl9Fe4Si6 structure (PBE, the Materials Project).

Cell and atoms, written as POSCAR:
```
ErAl9Fe4Si6
1.0
8.6458 0.0000 0.0000
0.0000 8.6458 0.0000
0.0000 0.0000 15.2005
Er Al Fe Si
4 36 16 24
direct
0.0000 0.5000 0.5855 Er
0.0000 0.5000 0.0855 Er
0.5000 0.0000 0.9145 Er
0.5000 0.0000 0.4145 Er
0.1829 0.5000 0.4110 Al
0.7541 0.2022 0.8310 Al
0.8445 0.0000 0.3980 Al
0.3171 0.0000 0.0890 Al
0.2022 0.7541 0.1690 Al
0.5000 0.3445 0.8980 Al
0.0000 0.8445 0.6020 Al
0.1555 0.0000 0.3980 Al
0.0000 0.0000 0.7719 Al
0.7459 0.7022 0.6690 Al
0.2459 0.2022 0.8310 Al
0.2022 0.2459 0.1690 Al
0.5000 0.6555 0.8980 Al
0.2459 0.7978 0.8310 Al
0.7022 0.7459 0.3310 Al
0.0000 0.1555 0.6020 Al
0.5000 0.5000 0.2719 Al
0.2541 0.2978 0.6690 Al
0.2978 0.2541 0.3310 Al
0.2541 0.7022 0.6690 Al
0.7978 0.2459 0.1690 Al
0.3445 0.5000 0.1020 Al
0.7541 0.7978 0.8310 Al
0.0000 0.6829 0.9110 Al
0.8171 0.5000 0.4110 Al
0.5000 0.5000 0.7281 Al
0.0000 0.0000 0.2281 Al
0.7978 0.7541 0.1690 Al
0.2978 0.7459 0.3310 Al
0.0000 0.3171 0.9110 Al
0.7459 0.2978 0.6690 Al
0.7022 0.2541 0.3310 Al
0.6555 0.5000 0.1020 Al
0.5000 0.1829 0.5890 Al
0.5000 0.8171 0.5890 Al
0.6829 0.0000 0.0890 Al
0.7224 0.0000 0.2501 Fe
0.2449 0.2449 0.0000 Fe
0.5000 0.2224 0.7501 Fe
0.2449 0.7551 0.0000 Fe
0.0000 0.7224 0.7499 Fe
0.0000 0.2776 0.7499 Fe
0.2224 0.5000 0.2499 Fe
0.7449 0.2551 0.5000 Fe
0.7551 0.2449 0.0000 Fe
0.2551 0.2551 0.5000 Fe
0.2551 0.7449 0.5000 Fe
0.5000 0.7776 0.7501 Fe
0.7551 0.7551 0.0000 Fe
0.7776 0.5000 0.2499 Fe
0.7449 0.7449 0.5000 Fe
0.2776 0.0000 0.2501 Fe
0.7611 0.5000 0.9386 Si
0.7389 0.0000 0.5614 Si
0.1560 0.0000 0.9436 Si
0.3617 0.0000 0.7206 Si
0.1383 0.5000 0.7794 Si
0.5000 0.7611 0.0614 Si
0.6560 0.5000 0.5564 Si
0.6383 0.0000 0.7206 Si
0.8440 0.0000 0.9436 Si
0.0000 0.8440 0.0564 Si
0.8617 0.5000 0.7794 Si
0.5000 0.2389 0.0614 Si
0.0000 0.2611 0.4386 Si
0.0000 0.3617 0.2794 Si
0.5000 0.1383 0.2206 Si
0.3440 0.5000 0.5564 Si
0.0000 0.7389 0.4386 Si
0.0000 0.1560 0.0564 Si
0.5000 0.8617 0.2206 Si
0.2611 0.0000 0.5614 Si
0.0000 0.6383 0.2794 Si
0.5000 0.6560 0.4436 Si
0.5000 0.3440 0.4436 Si
0.2389 0.5000 0.9386 Si
```

Output
The crystal system is tetragonal. As for the volume: 14.20 A^3/atom. Its calculated formation energy is -0.373 eV per atom.

=====

Entry 2:
# Er2Al3Ga

A geometry-optimized Er2Al3Ga structure (PBE, the Materials Project).

Cell and atoms, written as POSCAR:
```
Er2Al3Ga
1.0
4.7857 -2.7501 0.0000
4.7857 2.7501 0.0000
3.2054 0.0000 4.4935
Er Al Ga
2 3 1
direct
0.1241 0.1241 0.1241 Er
0.8759 0.8759 0.8759 Er
0.5000 0.0000 0.5000 Al
0.0000 0.5000 0.5000 Al
0.5000 0.5000 0.0000 Al
0.5000 0.5000 0.5000 Ga
```

Output
The crystal system is trigonal. As for the volume: 19.71 A^3/atom. Its calculated formation energy is -0.524 eV per atom.

=====

Entry 3:
# GdErAl6

A geometry-optimized GdErAl6 structure (PBE, the Materials Project).

Cell and atoms, written as POSCAR:
```
GdErAl6
1.0
3.0502 -5.2831 0.0000
3.0502 5.2831 0.0000
0.0000 0.0000 9.5865
Gd Er Al
2 2 12
direct
0.0000 0.0000 0.0000 Gd
0.0000 0.0000 0.5000 Gd
0.3333 0.6667 0.7500 Er
0.6667 0.3333 0.2500 Er
0.8160 0.6320 0.7500 Al
0.3680 0.1840 0.7500 Al
0.8160 0.1840 0.7500 Al
0.1840 0.3680 0.2500 Al
0.6320 0.8160 0.2500 Al
0.1840 0.8160 0.2500 Al
0.5000 0.5000 0.0000 Al
0.5000 0.0000 0.0000 Al
0.0000 0.5000 0.0000 Al
0.5000 0.5000 0.5000 Al
0.5000 0.0000 0.5000 Al
0.0000 0.5000 0.5000 Al
```

Output
The energy above the lowest structure with this stoichiometry comes out at 0 meV per atom. The crystal system is hexagonal. As for the volume: 19.31 A^3/atom. Its calculated formation energy is -0.429 eV per atom.

=====

Entry 4:
# GdErAl6

A geometry-optimized GdErAl6 structure (PBE, the Materials Project).

Cell and atoms, written as POSCAR:
```
GdErAl6
1.0
14.2454 -3.0987 0.0000
14.2454 3.0987 0.0000
13.5714 0.0000 5.3247
Gd Er Al
3 3 18
direct
0.1105 0.1105 0.1105 Gd
0.8924 0.8924 0.8924 Gd
0.3922 0.3922 0.3922 Gd
0.0014 0.0014 0.0014 Er
0.5014 0.5014 0.5014 Er
0.6106 0.6106 0.6106 Er
0.9261 0.3717 0.3717 Al
0.4266 0.8711 0.8711 Al
0.3717 0.3717 0.9261 Al
0.8711 0.8711 0.4266 Al
0.3717 0.9261 0.3717 Al
0.8711 0.4266 0.8711 Al
0.5772 0.1313 0.1313 Al
0.0774 0.6312 0.6312 Al
0.1313 0.1313 0.5772 Al
0.6312 0.6312 0.0774 Al
0.1313 0.5772 0.1313 Al
0.6312 0.0774 0.6312 Al
0.5025 0.5025 0.9988 Al
0.0022 0.0022 0.5000 Al
0.5025 0.9988 0.5025 Al
0.0022 0.5000 0.0022 Al
0.9988 0.5025 0.5025 Al
0.5000 0.0022 0.0022 Al
```

Output
The energy above the lowest structure with this stoichiometry comes out at 2 meV per atom. The crystal system is trigonal. As for the volume: 19.59 A^3/atom. Its calculated formation energy is -0.427 eV per atom.

=====

Entry 5:
# Er6Al2Ge7

A geometry-optimized Er6Al2Ge7 structure (PBE, the Materials Project).

Cell and atoms, written as POSCAR:
```
Er6Al2Ge7
1.0
2.0465 5.2287 0.0000
-2.0465 5.2287 0.0000
0.0000 0.2178 14.9904
Er Al Ge
6 2 7
direct
0.6870 0.6870 0.9066 Er
0.0264 0.0264 0.2390 Er
0.3588 0.3588 0.5719 Er
0.9736 0.9736 0.7610 Er
0.3130 0.3130 0.0934 Er
0.6412 0.6412 0.4281 Er
0.3338 0.3338 0.3337 Al
0.6662 0.6662 0.6663 Al
0.3998 0.3998 0.9003 Ge
0.7405 0.7405 0.2391 Ge
0.0713 0.0713 0.5707 Ge
0.2595 0.2595 0.7609 Ge
0.6002 0.6002 0.0997 Ge
0.9287 0.9287 0.4293 Ge
0.0000 0.0000 0.0000 Ge
```

Output
The crystal system is monoclinic. As for the volume: 21.39 A^3/atom. Its calculated formation energy is -0.715 eV per atom.

=====

Entry 6:
# ErAl2Ge2

A geometry-optimized ErAl2Ge2 structure (PBE, the Materials Project).

Cell and atoms, written as POSCAR:
```
ErAl2Ge2
1.0
-1.8746 0.4803 -3.8229
3.1687 -2.8422 0.4903
-4.3690 -4.6010 1.5643
Er Al Ge
1 2 2
direct
0.0000 0.0000 0.0000 Er
0.6667 0.3333 0.6486 Al
0.3333 0.6667 0.3514 Al
0.6667 0.3333 0.2552 Ge
0.3333 0.6667 0.7448 Ge
```

Output
The crystal system is trigonal. As for the volume: 20.78 A^3/atom. Its calculated formation energy is -0.393 eV per atom.

=====

Entry 7:
# Er2Al3Ge4

A geometry-optimized Er2Al3Ge4 structure (PBE, the Materials Project).

Cell and atoms, written as POSCAR:
```
Er2Al3Ge4
1.0
2.9988 -7.3599 0.0000
2.9988 7.3599 0.0000
0.0000 0.0000 7.8676
Er Al Ge
4 6 8
direct
0.1138 0.8862 0.4179 Er
0.8862 0.1138 0.5821 Er
0.3862 0.6138 0.9179 Er
0.6138 0.3862 0.0821 Er
0.0000 0.0000 0.0000 Al
0.5000 0.5000 0.5000 Al
0.0327 0.4673 0.2500 Al
0.4673 0.0327 0.7500 Al
0.9673 0.5327 0.7500 Al
0.5327 0.9673 0.2500 Al
0.2044 0.2956 0.2500 Ge
0.2956 0.2044 0.7500 Ge
0.7956 0.7044 0.7500 Ge
0.7044 0.7956 0.2500 Ge
0.1845 0.8155 0.0516 Ge
0.8155 0.1845 0.9484 Ge
0.3155 0.6845 0.5516 Ge
0.6845 0.3155 0.4484 Ge
```

Output
The crystal system is orthorhombic. As for the volume: 19.29 A^3/atom. Its calculated formation energy is -0.412 eV per atom.

=====

Entry 8:
# Er2Al4NiGe2

A geometry-optimized Er2Al4NiGe2 structure (PBE, the Materials Project).

Cell and atoms, written as POSCAR:
```
Er2Al4NiGe2
1.0
5.6617 8.1881 1.4885
0.5158 9.2083 4.0319
-2.0868 -9.8431 -0.2737
Er Al Ni Ge
2 4 1 2
direct
0.1866 0.1866 0.0000 Er
0.8134 0.8134 0.0000 Er
0.5679 0.0679 0.5000 Al
0.4321 0.9321 0.5000 Al
0.0679 0.5679 0.5000 Al
0.9321 0.4321 0.5000 Al
0.0000 0.0000 0.0000 Ni
0.3368 0.3368 0.0000 Ge
0.6632 0.6632 0.0000 Ge
```

Output
The crystal system is tetragonal. As for the volume: 18.19 A^3/atom. Its calculated formation energy is -0.619 eV per atom.

=====

Entry 9:
# ErAlGeO5

A geometry-optimized ErAlGeO5 structure (PBE, the Materials Project).

Cell and atoms, written as POSCAR:
```
ErAlGeO5
1.0
5.6523 0.0000 0.0000
0.0000 7.2807 0.0000
0.0000 0.0000 8.3834
Er Al Ge O
4 4 4 20
direct
0.5000 0.3572 0.3263 Er
0.5000 0.6428 0.6737 Er
0.5000 0.1428 0.8263 Er
0.5000 0.8572 0.1737 Er
0.2517 0.0000 0.5000 Al
0.7483 0.0000 0.5000 Al
0.7483 0.5000 0.0000 Al
0.2517 0.5000 0.0000 Al
0.0000 0.1205 0.1446 Ge
0.0000 0.8795 0.8554 Ge
0.0000 0.3795 0.6446 Ge
0.0000 0.6205 0.3554 Ge
0.2491 0.1070 0.2874 O
0.7509 0.8930 0.7126 O
0.2491 0.8930 0.7126 O
0.7509 0.3930 0.7874 O
0.7509 0.1070 0.2874 O
0.2491 0.6070 0.2126 O
0.7509 0.6070 0.2126 O
0.2491 0.3930 0.7874 O
0.5000 0.3378 0.0549 O
0.5000 0.6622 0.9451 O
0.5000 0.1622 0.5549 O
0.5000 0.8378 0.4451 O
0.2167 0.0000 0.0000 O
0.7833 0.0000 0.0000 O
0.7833 0.5000 0.5000 O
0.2167 0.5000 0.5000 O
0.0000 0.3469 0.0681 O
0.0000 0.6531 0.9319 O
0.0000 0.1531 0.5681 O
0.0000 0.8469 0.4319 O
```

Output
The crystal system is orthorhombic. As for the volume: 10.78 A^3/atom. Its calculated formation energy is -3.193 eV per atom.

=====

Entry 10:
# HoErAl2

A geometry-optimized HoErAl2 structure (PBE, the Materials Project).

Cell and atoms, written as POSCAR:
```
HoErAl2
1.0
-0.5111 -4.9601 -0.7903
-1.2092 -3.0555 3.8328
-4.5746 -2.1276 0.1857
Ho Er Al
1 1 2
direct
0.0000 0.0000 0.0000 Ho
0.5000 0.5000 0.5000 Er
0.7500 0.7500 0.7500 Al
0.2500 0.2500 0.2500 Al
```

Output
The crystal system is cubic. As for the volume: 22.75 A^3/atom. Its calculated formation energy is -0.392 eV per atom.

=====

Entry 11:
# LaErAl4

A geometry-optimized LaErAl4 structure (PBE, the Materials Project).

Cell and atoms, written as POSCAR:
```
LaErAl4
1.0
0.0000 3.9968 3.9968
3.9968 0.0000 3.9968
3.9968 3.9968 0.0000
La Er Al
1 1 4
direct
0.0000 0.0000 0.0000 La
0.2500 0.2500 0.2500 Er
0.6249 0.6249 0.1252 Al
0.6249 0.1252 0.6249 Al
0.1252 0.6249 0.6249 Al
0.6249 0.6249 0.6249 Al
```

Output
The crystal system is cubic. As for the volume: 21.28 A^3/atom. Its calculated formation energy is -0.475 eV per atom.

=====

Entry 12:
# Er6Al43Mo4

A geometry-optimized Er6Al43Mo4 structure (PBE, the Materials Project).

Cell and atoms, written as POSCAR:
```
Er6Al43Mo4
1.0
-9.7963 3.9813 -3.1814
7.8471 -2.0039 -7.5064
-6.0487 -16.4308 -1.9368
Er Al Mo
12 86 8
direct
0.4690 0.4690 0.9047 Er
0.5310 0.0000 0.9047 Er
0.0000 0.5310 0.9047 Er
0.5310 0.5310 0.0953 Er
0.4690 0.0000 0.0953 Er
0.0000 0.4690 0.0953 Er
0.5310 0.5310 0.4047 Er
0.4690 0.0000 0.4047 Er
0.0000 0.4690 0.4047 Er
0.4690 0.4690 0.5953 Er
0.5310 0.0000 0.5953 Er
0.0000 0.5310 0.5953 Er
0.8418 0.2366 0.8367 Al
0.7634 0.6052 0.8367 Al
0.3948 0.1582 0.8367 Al
0.2366 0.8418 0.8367 Al
0.6052 0.7634 0.8367 Al
0.1582 0.3948 0.8367 Al
0.1582 0.7634 0.1633 Al
0.2366 0.3948 0.1633 Al
0.6052 0.8418 0.1633 Al
0.7634 0.1582 0.1633 Al
0.3948 0.2366 0.1633 Al
0.8418 0.6052 0.1633 Al
0.1582 0.7634 0.3367 Al
0.2366 0.3948 0.3367 Al
0.6052 0.8418 0.3367 Al
0.7634 0.1582 0.3367 Al
0.3948 0.2366 0.3367 Al
0.8418 0.6052 0.3367 Al
0.8418 0.2366 0.6633 Al
0.7634 0.6052 0.6633 Al
0.3948 0.1582 0.6633 Al
0.2366 0.8418 0.6633 Al
0.6052 0.7634 0.6633 Al
0.1582 0.3948 0.6633 Al
0.8405 0.8405 0.3855 Al
0.1595 0.0000 0.3855 Al
0.0000 0.1595 0.3855 Al
0.1595 0.1595 0.6145 Al
0.8405 0.0000 0.6145 Al
0.0000 0.8405 0.6145 Al
0.1595 0.1595 0.8855 Al
0.8405 0.0000 0.8855 Al
0.0000 0.8405 0.8855 Al
0.8405 0.8405 0.1145 Al
0.1595 0.0000 0.1145 Al
0.0000 0.1595 0.1145 Al
0.7455 0.7455 0.9697 Al
0.2545 0.0000 0.9697 Al
0.0000 0.2545 0.9697 Al
0.2545 0.2545 0.0303 Al
0.7455 0.0000 0.0303 Al
0.0000 0.7455 0.0303 Al
0.2545 0.2545 0.4697 Al
0.7455 0.0000 0.4697 Al
0.0000 0.7455 0.4697 Al
0.7455 0.7455 0.5303 Al
0.2545 0.0000 0.5303 Al
0.0000 0.2545 0.5303 Al
0.8529 0.4489 0.7500 Al
0.5511 0.4040 0.7500 Al
0.5960 0.1471 0.7500 Al
0.4489 0.8529 0.7500 Al
0.4040 0.5511 0.7500 Al
0.1471 0.5960 0.7500 Al
0.1471 0.5511 0.2500 Al
0.4489 0.5960 0.2500 Al
0.4040 0.8529 0.2500 Al
0.5511 0.1471 0.2500 Al
0.5960 0.4489 0.2500 Al
0.8529 0.4040 0.2500 Al
0.7529 0.2471 0.0000 Al
0.7529 0.5059 0.0000 Al
0.4941 0.2471 0.0000 Al
0.2471 0.7529 0.0000 Al
0.5059 0.7529 0.0000 Al
0.2471 0.4941 0.0000 Al
0.2471 0.7529 0.5000 Al
0.2471 0.4941 0.5000 Al
0.5059 0.7529 0.5000 Al
0.7529 0.2471 0.5000 Al
0.4941 0.2471 0.5000 Al
0.7529 0.5059 0.5000 Al
0.6667 0.3333 0.8739 Al
0.3333 0.6667 0.8739 Al
0.3333 0.6667 0.1261 Al
0.6667 0.3333 0.1261 Al
0.3333 0.6667 0.3739 Al
0.6667 0.3333 0.3739 Al
0.6667 0.3333 0.6261 Al
0.3333 0.6667 0.6261 Al
0.8526 0.8526 0.7500 Al
0.1474 0.0000 0.7500 Al
0.0000 0.1474 0.7500 Al
0.1474 0.1474 0.2500 Al
0.8526 0.0000 0.2500 Al
0.0000 0.8526 0.2500 Al
0.2705 0.2705 0.7500 Mo
0.7295 0.0000 0.7500 Mo
0.0000 0.7295 0.7500 Mo
0.7295 0.7295 0.2500 Mo
0.2705 0.0000 0.2500 Mo
0.0000 0.2705 0.2500 Mo
0.0000 0.0000 0.0000 Mo
0.0000 0.0000 0.5000 Mo
```

Output
The crystal system is hexagonal. As for the volume: 17.55 A^3/atom. Its calculated formation energy is -0.312 eV per atom.